Record 1
Compound: Li9Mn7O16
Source: the Materials Project
Functional: PBE+U
Structure: optimized geometry

```
data_Li9Mn7O16
_chemical_formula_sum 'Li9 Mn7 O16'
_space_group_name_H-M_alt 'P -1'
_space_group_IT_number 2
_cell_length_a 3.033
_cell_length_b 5.110
_cell_length_c 19.529
_cell_angle_alpha 92.55
_cell_angle_beta 93.24
_cell_angle_gamma 93.87
loop_
_space_group_symop_operation_xyz
'x,y,z'
'-x,-y,-z'
loop_
_atom_site_label
_atom_site_fract_x
_atom_site_fract_y
_atom_site_fract_z
_atom_site_occupancy
Li1 0.000 0.000 0.000 1
Li2 0.000 0.125 0.375 1
Li3 0.006 0.369 0.119 1
Li4 0.490 0.885 0.117 1
Li5 0.500 0.376 0.625 1
Mn1 0.000 0.500 0.500 1
Mn2 0.003 0.748 0.249 1
Mn3 0.497 0.750 0.751 1
Mn4 0.500 0.000 0.500 1
Mn5 0.500 0.500 0.000 1
O1 0.027 0.055 0.192 1
O2 0.029 0.555 0.692 1
O3 0.030 0.804 0.442 1
O4 0.032 0.661 0.054 1
O5 0.470 0.696 0.558 1
O6 0.476 0.945 0.308 1
O7 0.477 0.441 0.806 1
O8 0.492 0.212 0.059 1
```

Density ... 3.88 g/cm³
M_tot ... 26.0 μB/f.u.
Total DFT energy (no corrections) ... -205.1 eV for the cell shown

Record 2
Compound: Mn3O2F4
Source: the Materials Project
Functional: PBE+U
Structure: optimized geometry

```
data_Mn3O2F4
_chemical_formula_sum 'Mn12 O8 F16'
_space_group_name_H-M_alt 'C 1 2 1'
_space_group_IT_number 5
_cell_length_a 6.714
_cell_length_b 6.689
_cell_length_c 9.700
_cell_angle_alpha 90.00
_cell_angle_beta 90.92
_cell_angle_gamma 90.00
loop_
_space_group_symop_operation_xyz
'x,y,z'
'-x,y,-z'
'x+1/2,y+1/2,z'
'-x+1/2,y+1/2,-z'
loop_
_atom_site_label
_atom_site_fract_x
_atom_site_fract_y
_atom_site_fract_z
_atom_site_occupancy
Mn1 0.000 0.000 0.000 1
Mn2 0.000 0.497 0.500 1
Mn3 0.006 0.465 0.175 1
Mn4 0.029 0.000 0.674 1
O1 0.011 0.178 0.833 1
O2 0.181 0.486 0.334 1
F1 0.000 0.192 0.500 1
F2 0.000 0.808 0.500 1
F3 0.005 0.771 0.841 1
F4 0.189 0.473 0.988 1
F5 0.224 0.489 0.663 1
```

Density ... 4.16 g/cm³
M_tot ... 13.0 μB/f.u.
Total DFT energy (no corrections) ... -238.4 eV for the cell shown

no.,ΔH_f (0 K) (eV per atom)
1,-2.102
2,-2.531